Arrangement a

BaYMgFeCuO5 | PBE with a Hubbard U | relaxed

## Properties
density	4484	kg/m3
SG	Cm

Unit cell a=4.5088 b=4.5088 c=8.2906 alpha=93.50 beta=93.50 gamma=82.74
Sites, in units of the cell vectors:
Ba  0.0000  0.0000  0.0000
Y  0.2568  0.2568  0.5731
Mg  0.7030  0.7030  0.6599
Fe  0.5792  0.5792  0.3216
Cu  0.4534  0.4534  0.9183
O  0.0664  0.5398  0.7850
O  0.3240  0.7651  0.4896
O  0.5398  0.0664  0.7850
O  0.6319  0.6319  0.1040
O  0.7651  0.3240  0.4896

=====

Arrangement b

BaYMgFeCuO5 | PBE with a Hubbard U | relaxed

## Properties
density	5119	kg/m3
SG	P4mm

Unit cell a=3.9213 b=3.9213 c=9.4919 alpha=90.00 beta=90.00 gamma=90.00
Sites, in units of the cell vectors:
Ba  0.0000  0.0000  0.0000
Y  0.0000  0.0000  0.3674
Mg  0.0000  0.0000  0.6513
Fe  0.5000  0.5000  0.6872
Cu  0.5000  0.5000  0.2293
O  0.0000  0.5000  0.2401
O  0.0000  0.5000  0.5809
O  0.5000  0.0000  0.2401
O  0.5000  0.0000  0.5809
O  0.5000  0.5000  0.8953

=====

Arrangement c

BaYMgFeCuO5 | PBE with a Hubbard U | relaxed

## Properties
density	4727	kg/m3
SG	Pmm2

Unit cell a=3.9744 b=4.0287 c=9.8712 alpha=90.00 beta=90.00 gamma=90.00
Sites, in units of the cell vectors:
Ba  0.0000  0.0000  0.0000
Y  0.0000  0.0000  0.3500
Mg  0.5000  0.0000  0.6978
Fe  0.5000  0.5000  0.5168
Cu  0.5000  0.5000  0.1804
O  0.0000  0.5000  0.1568
O  0.0000  0.5000  0.4525
O  0.5000  0.0000  0.1997
O  0.5000  0.0000  0.4982
O  0.5000  0.5000  0.7462

=====

Stability check: which of them is most stable? arrangement a.

=====

Arrangement a

BaEuDyWO6 | PBE with a Hubbard U | relaxed

## Properties
density	8011	kg/m3
SG	F-43m

Unit cell a=5.9859 b=5.9859 c=5.9859 alpha=60.00 beta=60.00 gamma=60.00
Sites, in units of the cell vectors:
Ba  0.0000  0.0000  0.0000
Eu  0.5000  0.5000  0.5000
Dy  0.7500  0.7500  0.7500
W  0.2500  0.2500  0.2500
O  0.0132  0.0132  0.4868
O  0.0132  0.4868  0.0132
O  0.0132  0.4868  0.4868
O  0.4868  0.0132  0.0132
O  0.4868  0.0132  0.4868
O  0.4868  0.4868  0.0132

=====

Arrangement b

BaEuDyWO6 | PBE with a Hubbard U | relaxed

## Properties
density	8081	kg/m3
SG	P-1

Unit cell a=5.9578 b=5.9666 c=8.4595 alpha=90.05 beta=90.29 gamma=90.68
Sites, in units of the cell vectors:
Ba  0.0192  0.0032  0.2514
Ba  0.9808  0.9968  0.7486
Eu  0.4755  0.5029  0.7504
Eu  0.5245  0.4971  0.2496
Dy  0.0000  0.5000  0.5000
Dy  0.5000  0.0000  0.0000
W  0.0000  0.5000  0.0000
W  0.5000  0.0000  0.5000
O  0.0148  0.4505  0.7621
O  0.2112  0.7557  0.9699
O  0.2402  0.7875  0.5338
O  0.2739  0.2962  0.0339
O  0.2988  0.2697  0.4697
O  0.5003  0.0693  0.7366
O  0.4997  0.9307  0.2634
O  0.7012  0.7303  0.5303
O  0.7261  0.7038  0.9661
O  0.7598  0.2125  0.4662
O  0.7888  0.2443  0.0301
O  0.9852  0.5495  0.2379

=====

Stability check: which of them is most stable? arrangement b.